Entry 1:
The following is a DFT calculation (PBE) of a relaxed K2CuF4 crystal.

a b c (Å): 7.0971 7.0971 5.9328
angles (deg): 90.00 90.00 130.60
Closest atoms and distances in Å follow each position.
Fractional positions:
K  0.3578  0.6422  0.0000  5 F 2.63-2.79
K  0.1422  0.8578  0.5000  5 F 2.63-2.79
K  0.8578  0.1422  0.5000  5 F 2.63-2.79
K  0.6422  0.3578  0.0000  5 F 2.63-2.79
Cu  0.0000  0.0000  0.0000  4 F 1.95-1.98
Cu  0.5000  0.5000  0.5000  4 F 1.95-1.98
F  0.7680  0.7680  0.2320  1 Cu 1.95
F  0.2680  0.2680  0.2680  1 Cu 1.95
F  0.7320  0.7320  0.7320  1 Cu 1.95
F  0.2320  0.2320  0.7680  1 Cu 1.95
F  0.6535  0.3465  0.5000  1 Cu 1.98
F  0.8465  0.1535  0.0000  1 Cu 1.98
F  0.1535  0.8465  0.0000  1 Cu 1.98
F  0.3465  0.6535  0.5000  1 Cu 1.98

DFT formation energy ... -2.544 eV per atom
Energy ... -4.28 eV per atom

***

Entry 2:
The following is a DFT calculation (PBE) of a relaxed K2CuF4 crystal.

a b c (Å): 13.5606 13.5606 13.5606
angles (deg): 154.72 154.72 36.06
Closest atoms and distances in Å follow each position.
Fractional positions:
K  0.4290  0.4290  0.0000  5 F 2.64-2.79
K  0.5710  0.5710  0.0000  5 F 2.64-2.79
K  0.0710  0.0710  0.0000  5 F 2.64-2.79
K  0.9290  0.9290  0.0000  5 F 2.64-2.79
K  0.3210  0.8210  0.5000  5 F 2.64-2.79
K  0.1790  0.6790  0.5000  5 F 2.64-2.79
K  0.6790  0.1790  0.5000  5 F 2.64-2.79
K  0.8210  0.3210  0.5000  5 F 2.64-2.79
Cu  0.2500  0.2500  0.0000  4 F 1.95-1.98
Cu  0.7500  0.7500  0.0000  4 F 1.95-1.98
Cu  0.5000  0.0000  0.5000  4 F 1.95-1.98
Cu  0.0000  0.5000  0.5000  4 F 1.95-1.98
F  0.5181  0.9819  0.0000  1 Cu 1.95
F  0.0181  0.0181  0.5362  1 Cu 1.95
F  0.4819  0.4819  0.4638  1 Cu 1.95
F  0.9819  0.5181  0.0000  1 Cu 1.95
F  0.7681  0.7319  0.5000  1 Cu 1.95
F  0.2681  0.7681  0.0362  1 Cu 1.95
F  0.7319  0.2319  0.9638  1 Cu 1.95
F  0.2319  0.2681  0.5000  1 Cu 1.95
F  0.3268  0.3268  0.0000  1 Cu 1.98
F  0.6732  0.6732  0.0000  1 Cu 1.98
F  0.1732  0.1732  0.0000  1 Cu 1.98
F  0.8268  0.8268  0.0000  1 Cu 1.98
F  0.9232  0.4232  0.5000  1 Cu 1.98
F  0.5768  0.0768  0.5000  1 Cu 1.98
F  0.0768  0.5768  0.5000  1 Cu 1.98
F  0.4232  0.9232  0.5000  1 Cu 1.98

DFT formation energy ... -2.544 eV per atom
Energy ... -4.28 eV per atom

***

Entry 3:
The following is a DFT calculation (PBE) of a relaxed K2CuF4 crystal.

a b c (Å): 6.5765 6.5765 3.9123
angles (deg): 90.00 90.00 140.51
Closest atoms and distances in Å follow each position.
Fractional positions:
K  0.6477  0.3523  0.5000  8 F 2.68-2.96
K  0.3523  0.6477  0.5000  8 F 2.68-2.96
Cu  0.0000  0.0000  0.0000  4 F 1.96
F  0.5000  0.5000  0.0000  2 Cu 2.22
F  0.0000  0.0000  0.5000  2 Cu 1.96
F  0.8413  0.1587  0.0000  1 Cu 1.96
F  0.1587  0.8413  0.0000  1 Cu 1.96

DFT formation energy ... -2.484 eV per atom
Energy ... -4.22 eV per atom
Total moment ... 1.00 μB/f.u.